Entry from the Materials Project database: an optimized crystal structure of K3LaCl6 (PBE).

```
K3LaCl6
1.0
0.0000 5.7562 5.7562
5.7562 0.0000 5.7562
5.7562 5.7562 0.0000
K La Cl
3 1 6
Direct
0.7500 0.7500 0.7500
0.2500 0.2500 0.2500
0.5000 0.5000 0.5000
0.0000 0.0000 0.0000
0.7598 0.2402 0.2402
0.2402 0.2402 0.7598
0.2402 0.7598 0.7598
0.2402 0.7598 0.2402
0.7598 0.2402 0.7598
0.7598 0.7598 0.2402
```

Results
- Electronic total energy: -3.99 eV per atom
- Space group: Fm-3m, No. 225
- ΔE_f: -2.427 eV/atom